BaNaGdWO6 GGA+U relaxed; raw total energy = -8.032 eV/atom; E_form = -2.89 eV/atom; total moment = 7.00 Bohr magnetons per cell; energy with MP2020 corrections = -0.6532 Ry per atom; ρ = 6.53 g cm⁻³
1.0
0.000 -4.235 -4.235
4.235 0.000 -4.235
4.235 -4.235 0.000
O Gd Na Ba W
6 1 1 1 1
direct
0.731 0.731 0.269
0.731 0.269 0.269
0.731 0.269 0.731
0.269 0.731 0.269
0.269 0.731 0.731
0.269 0.269 0.731
0.000 0.000 0.000
0.250 0.250 0.250
0.750 0.750 0.750
0.500 0.500 0.500